No. 1
An optimized crystal structure of ErCoH8C6N6O4. Source: Materials Project, functional PBE+U.

a b c (Å): 7.3438 7.3438 13.6049
angles (deg): 90.00 90.00 120.34
Fractional positions:
Er 0.1753 0.8247 0.7500
Er 0.8247 0.1753 0.2500
Co 0.5000 0.5000 0.0000
Co 0.5000 0.5000 0.5000
H 0.0517 0.6287 0.1914
H 0.0517 0.6287 0.3086
H 0.0840 0.9160 0.1013
H 0.0840 0.9160 0.3987
H 0.1870 0.8130 0.0369
H 0.1870 0.8130 0.4631
H 0.3713 0.9483 0.1914
H 0.3713 0.9483 0.3086
H 0.6287 0.0517 0.6914
H 0.6287 0.0517 0.8086
H 0.8130 0.1870 0.5369
H 0.8130 0.1870 0.9631
H 0.9160 0.0840 0.6013
H 0.9160 0.0840 0.8987
H 0.9483 0.3713 0.6914
H 0.9483 0.3713 0.8086
C 0.2714 0.3644 0.0869
C 0.2714 0.3644 0.4131
C 0.3644 0.2714 0.5869
C 0.3644 0.2714 0.9131
C 0.3682 0.6318 0.5609
C 0.3682 0.6318 0.9391
C 0.6318 0.3682 0.0609
C 0.6318 0.3682 0.4391
C 0.6356 0.7286 0.0869
C 0.6356 0.7286 0.4131
C 0.7286 0.6356 0.5869
C 0.7286 0.6356 0.9131
N 0.1256 0.2804 0.1394
N 0.1256 0.2804 0.3606
N 0.2804 0.1256 0.6394
N 0.2804 0.1256 0.8606
N 0.2866 0.7134 0.6010
N 0.2866 0.7134 0.8990
N 0.7134 0.2866 0.1010
N 0.7134 0.2866 0.3990
N 0.7196 0.8744 0.1394
N 0.7196 0.8744 0.3606
N 0.8744 0.7196 0.6394
N 0.8744 0.7196 0.8606
O 0.0101 0.4617 0.7500
O 0.1607 0.8393 0.1047
O 0.1607 0.8393 0.3953
O 0.4617 0.0101 0.2500
O 0.5383 0.9899 0.7500
O 0.8393 0.1607 0.6047
O 0.8393 0.1607 0.8953
O 0.9899 0.5383 0.2500

## Properties
Total energy, eV per atom: -6.729
Formation energy, meV/atom: -590



No. 2
An optimized crystal structure of FeH9C5NO6. Source: Materials Project, functional PBE+U.

a b c (Å): 8.2513 8.2547 8.8525
angles (deg): 90.34 117.72 119.59
Fractional positions:
Fe 0.0000 0.0000 0.0000
Fe 0.0015 0.5016 0.4999
H 0.1164 0.2455 0.7419
H 0.1294 0.3707 0.2610
H 0.2441 0.1638 0.5685
H 0.2616 0.5979 0.0983
H 0.3526 0.0855 0.4741
H 0.3895 0.6236 0.9736
H 0.4067 0.8265 0.0697
H 0.4983 0.1272 0.2425
H 0.4998 0.3386 0.9029
H 0.5000 0.8760 0.7470
H 0.5021 0.3378 0.5984
H 0.5113 0.6759 0.4298
H 0.5660 0.9049 0.4020
H 0.6514 0.2372 0.0268
H 0.7556 0.4202 0.9288
H 0.7919 0.8778 0.5262
H 0.8724 0.7479 0.2467
H 0.8919 0.6340 0.7620
C 0.0050 0.7447 0.2451
C 0.0189 0.7655 0.7543
C 0.3974 0.1838 0.5906
C 0.4080 0.6947 0.0906
C 0.4995 0.2616 0.2511
C 0.5009 0.7415 0.7447
C 0.6043 0.2884 0.9095
C 0.6232 0.8072 0.4094
C 0.9907 0.2368 0.2546
C 0.9911 0.2536 0.7510
N 0.4997 0.1392 0.7503
N 0.6118 0.7505 0.2498
O 0.0791 0.6513 0.3352
O 0.0811 0.8353 0.1528
O 0.0826 0.7438 0.6547
O 0.0949 0.9334 0.8450
O 0.3166 0.2461 0.1636
O 0.3187 0.5742 0.6526
O 0.6833 0.4248 0.3485
O 0.6849 0.7573 0.8350
O 0.9124 0.0731 0.1560
O 0.9146 0.2530 0.3461
O 0.9196 0.3495 0.6634
O 0.9252 0.1677 0.8485

## Properties
Total energy, eV per atom: -6.030
Formation energy, meV/atom: -722



No. 3
An optimized crystal structure of KMn3O6. Source: Materials Project, functional PBE+U.

a b c (Å): 7.2615 7.2615 15.8545
angles (deg): 92.05 92.05 47.10
Fractional positions:
K 0.1585 0.8219 0.8994
K 0.1781 0.8415 0.6006
K 0.8219 0.1585 0.3994
K 0.8415 0.1781 0.1006
Mn 0.1197 0.3670 0.4186
Mn 0.1277 0.3727 0.7503
Mn 0.1381 0.3870 0.0808
Mn 0.3670 0.1197 0.9186
Mn 0.3727 0.1277 0.2503
Mn 0.3870 0.1381 0.5808
Mn 0.6130 0.8619 0.4192
Mn 0.6273 0.8723 0.7497
Mn 0.6330 0.8803 0.0814
Mn 0.8619 0.6130 0.9192
Mn 0.8723 0.6273 0.2497
Mn 0.8803 0.6330 0.5814
O 0.0416 0.2852 0.8737
O 0.0543 0.2998 0.5283
O 0.0604 0.3105 0.1841
O 0.1935 0.4389 0.3147
O 0.1943 0.4536 0.9705
O 0.2062 0.4642 0.6270
O 0.2852 0.0416 0.3737
O 0.2998 0.0543 0.0283
O 0.3105 0.0604 0.6841
O 0.4389 0.1935 0.8147
O 0.4536 0.1943 0.4705
O 0.4642 0.2062 0.1270
O 0.5358 0.7938 0.8730
O 0.5464 0.8057 0.5295
O 0.5611 0.8065 0.1853
O 0.6895 0.9396 0.3159
O 0.7002 0.9457 0.9717
O 0.7148 0.9584 0.6263
O 0.7938 0.5358 0.3730
O 0.8057 0.5464 0.0295
O 0.8065 0.5611 0.6853
O 0.9396 0.6895 0.8159
O 0.9457 0.7002 0.4717
O 0.9584 0.7148 0.1263

## Properties
Total energy, eV per atom: -6.883
Formation energy, meV/atom: -1967



No. 4
An optimized crystal structure of CaAsW2O4. Source: Materials Project, functional PBE+U.

a b c (Å): 10.6800 10.6800 5.5013
angles (deg): 97.61 97.61 145.35
Fractional positions:
Ca 0.1972 0.8028 0.5000
Ca 0.8028 0.1972 0.0000
As 0.3264 0.6751 0.9984
As 0.6751 0.3264 0.4984
W 0.2262 0.2805 0.7590
W 0.2805 0.2262 0.2590
W 0.6794 0.7504 0.3640
W 0.7504 0.6794 0.8640
O 0.1144 0.3753 0.7934
O 0.1860 0.6236 0.1899
O 0.3753 0.1144 0.2934
O 0.3758 0.8216 0.8197
O 0.6236 0.1860 0.6899
O 0.6238 0.8769 0.1814
O 0.8216 0.3758 0.3197
O 0.8769 0.6238 0.6814

## Properties
Total energy, eV per atom: -5.887
Formation energy, meV/atom: -794



No. 5
An optimized crystal structure of Li2Fe3P3O12. Source: Materials Project, functional PBE+U.

a b c (Å): 8.5085 8.5085 8.3690
angles (deg): 115.83 115.83 63.62
Fractional positions:
Li 0.0000 0.0000 0.0000
Li 0.1061 0.4908 0.0969
Li 0.5092 0.8939 0.9031
Li 0.7007 0.2993 0.5000
Fe 0.0029 0.7863 0.6044
Fe 0.2137 0.9971 0.3956
Fe 0.3606 0.1450 0.2570
Fe 0.5090 0.2992 0.0989
Fe 0.7008 0.4910 0.9011
Fe 0.8550 0.6394 0.7430
P 0.1043 0.1843 0.8009
P 0.2980 0.7020 0.0000
P 0.3996 0.6004 0.5000
P 0.6047 0.0849 0.6889
P 0.8157 0.8957 0.1991
P 0.9151 0.3953 0.3111
O 0.0363 0.0347 0.7820
O 0.1011 0.7267 0.8509
O 0.1016 0.2326 0.3140
O 0.1713 0.1254 0.6356
O 0.2460 0.6446 0.5757
O 0.2559 0.2096 0.9960
O 0.2733 0.8989 0.1491
O 0.3245 0.5469 0.0647
O 0.3554 0.7540 0.4243
O 0.4188 0.4047 0.3506
O 0.4515 0.0654 0.4959
O 0.4531 0.6755 0.9353
O 0.5389 0.1151 0.8477
O 0.5953 0.5812 0.6494
O 0.6212 0.0456 0.1902
O 0.6668 0.2408 0.7143
O 0.7592 0.3332 0.2857
O 0.7674 0.8984 0.6860
O 0.7904 0.7441 0.0040
O 0.8746 0.8287 0.3644
O 0.8849 0.4611 0.1523
O 0.9346 0.5485 0.5041
O 0.9544 0.3788 0.8098
O 0.9653 0.9637 0.2180

## Properties
Total energy, eV per atom: -6.867
Formation energy, meV/atom: -2375



No. 6
An optimized crystal structure of Li2V3O6. Source: Materials Project, functional PBE+U.

a b c (Å): 2.9889 7.8807 9.9906
angles (deg): 92.37 98.38 100.69
Fractional positions:
Li 0.0000 0.0000 0.0000
Li 0.1782 0.8503 0.5041
Li 0.4957 0.4898 0.4994
Li 0.6818 0.3594 0.0042
V 0.0894 0.4265 0.7517
V 0.2634 0.2591 0.2615
V 0.4153 0.0914 0.7373
V 0.5888 0.9252 0.2521
V 0.7627 0.7591 0.7673
V 0.9144 0.5913 0.2425
O 0.0392 0.2231 0.8557
O 0.1387 0.6278 0.6476
O 0.2118 0.0288 0.3581
O 0.2994 0.4605 0.1401
O 0.3778 0.8937 0.8651
O 0.4831 0.3176 0.6446
O 0.5334 0.7166 0.3594
O 0.6445 0.1338 0.1445
O 0.6953 0.5339 0.8597
O 0.7995 0.9558 0.6394
O 0.8785 0.3898 0.3640
O 0.9661 0.8216 0.1459

## Properties
Total energy, eV per atom: -7.148
Formation energy, meV/atom: -2463
Distance to the lowest polymorph of the same formula, eV/f.u.: 0.08



No. 7
An optimized crystal structure of LiVSiO4. Source: Materials Project, functional PBE+U.

a b c (Å): 10.4124 5.0917 6.8214
angles (deg): 90.00 90.00 90.00
Fractional positions:
Li 0.1561 0.1854 0.0000
Li 0.3439 0.6854 0.5000
Li 0.6561 0.3146 0.0000
Li 0.8439 0.8146 0.5000
V 0.1586 0.1830 0.4961
V 0.3414 0.6830 0.9961
V 0.6586 0.3170 0.4961
V 0.8414 0.8170 0.9961
Si 0.0933 0.6819 0.7512
Si 0.4067 0.1819 0.2512
Si 0.5933 0.8181 0.7512
Si 0.9067 0.3181 0.2512
O 0.0602 0.2442 0.2600
O 0.1169 0.3626 0.7403
O 0.1612 0.8120 0.5557
O 0.1662 0.7981 0.9478
O 0.3338 0.2981 0.4478
O 0.3388 0.3120 0.0557
O 0.3831 0.8626 0.2403
O 0.4398 0.7442 0.7600
O 0.5602 0.2558 0.2600
O 0.6169 0.1374 0.7403
O 0.6612 0.6880 0.5557
O 0.6662 0.7019 0.9478
O 0.8338 0.2019 0.4478
O 0.8388 0.1880 0.0557
O 0.8831 0.6374 0.2403
O 0.9398 0.7558 0.7600

## Properties
Total energy, eV per atom: -7.314
Formation energy, meV/atom: -2776
Distance to the lowest polymorph of the same formula, eV/f.u.: 0.44



No. 8
An optimized crystal structure of MgV4O6F4. Source: Materials Project, functional PBE+U.

a b c (Å): 5.3649 5.8567 6.7803
angles (deg): 103.81 107.33 98.75
Fractional positions:
Mg 0.0000 0.0000 0.0000
V 0.2098 0.6323 0.2200
V 0.3937 0.7976 0.8065
V 0.6057 0.2012 0.1931
V 0.7897 0.3662 0.7798
O 0.0956 0.6453 0.9167
O 0.3114 0.1011 0.9140
O 0.4752 0.5105 0.2732
O 0.5246 0.4888 0.7273
O 0.6885 0.8980 0.0857
O 0.9052 0.3525 0.0830
F 0.1424 0.7107 0.4929
F 0.2972 0.9989 0.2807
F 0.7024 0.9991 0.7189
F 0.8559 0.2878 0.5067

## Properties
Total energy, eV per atom: -6.905
Formation energy, meV/atom: -2738
Distance to the lowest polymorph of the same formula, eV/f.u.: 0.47



No. 9
An optimized crystal structure of Li5Fe3Sb2O10. Source: Materials Project, functional PBE+U.

a b c (Å): 5.4106 8.2070 10.5966
angles (deg): 72.43 80.81 71.62
Fractional positions:
Li 0.0000 0.0000 0.0000
Li 0.0007 0.0414 0.4726
Li 0.0953 0.3205 0.7356
Li 0.0979 0.3196 0.2385
Li 0.1680 0.6534 0.4711
Li 0.1937 0.6094 0.9937
Li 0.3671 0.2290 0.9891
Li 0.3690 0.2425 0.4730
Li 0.8147 0.4152 0.9993
Li 0.8377 0.4154 0.4842
Fe 0.2884 0.9364 0.2325
Fe 0.2927 0.9237 0.7357
Fe 0.5912 0.8273 0.4852
Fe 0.6026 0.8187 0.9860
Fe 0.8935 0.7135 0.2356
Fe 0.9018 0.7090 0.7406
Sb 0.4839 0.5348 0.2404
Sb 0.4932 0.5191 0.7347
Sb 0.6995 0.1233 0.2353
Sb 0.7035 0.1192 0.7315
O 0.0252 0.1596 0.1185
O 0.0266 0.1573 0.6202
O 0.1280 0.4909 0.3583
O 0.1714 0.4779 0.8450
O 0.2540 0.7696 0.1071
O 0.2639 0.7420 0.6195
O 0.3791 0.0786 0.3554
O 0.3962 0.0645 0.8542
O 0.4674 0.3518 0.6242
O 0.4679 0.3396 0.1164
O 0.5139 0.7029 0.3610
O 0.5385 0.6638 0.8484
O 0.6534 0.9629 0.6256
O 0.6587 0.9711 0.1232
O 0.7306 0.2842 0.8394
O 0.7616 0.2478 0.3583
O 0.8053 0.5715 0.6178
O 0.8491 0.5941 0.0873
O 0.9226 0.8925 0.3546
O 0.9332 0.9025 0.8491

## Properties
Total energy, eV per atom: -5.880
Formation energy, meV/atom: -1927
Distance to the lowest polymorph of the same formula, eV/f.u.: 0.05



No. 10
An optimized crystal structure of LiZnFe10O16. Source: Materials Project, functional PBE+U.

a b c (Å): 10.5036 10.5036 10.5036
angles (deg): 33.54 33.54 33.54
Fractional positions:
Li 0.0000 0.0000 0.0000
Zn 0.1891 0.1891 0.1891
Fe 0.3772 0.3772 0.3772
Fe 0.4365 0.9385 0.9385
Fe 0.4406 0.4406 0.9375
Fe 0.4406 0.9375 0.4406
Fe 0.4996 0.4996 0.4996
Fe 0.6866 0.6866 0.6866
Fe 0.8780 0.8780 0.8780
Fe 0.9375 0.4406 0.4406
Fe 0.9385 0.4365 0.9385
Fe 0.9385 0.9385 0.4365
O 0.0327 0.5826 0.5826
O 0.0709 0.0709 0.0709
O 0.0724 0.0724 0.5523
O 0.0724 0.5523 0.0724
O 0.3044 0.3044 0.8244
O 0.3044 0.8244 0.3044
O 0.3060 0.3060 0.3060
O 0.3425 0.7950 0.7950
O 0.5523 0.0724 0.0724
O 0.5651 0.5651 0.5651
O 0.5826 0.0327 0.5826
O 0.5826 0.5826 0.0327
O 0.7950 0.3425 0.7950
O 0.7950 0.7950 0.3425
O 0.8110 0.8110 0.8110
O 0.8244 0.3044 0.3044

## Properties
Total energy, eV per atom: -6.421
Formation energy, meV/atom: -1653



No. 11
An optimized crystal structure of LaZnFeBiO6. Source: Materials Project, functional PBE+U.

a b c (Å): 5.5627 6.2222 9.6822
angles (deg): 90.00 124.19 90.00
Fractional positions:
La 0.0000 0.1671 0.0000
La 0.0000 0.8329 0.5000
Zn 0.5181 0.1290 0.5135
Zn 0.5181 0.8710 0.0135
Fe 0.2583 0.2731 0.7433
Fe 0.2583 0.7269 0.2433
Bi 0.7754 0.3053 0.2576
Bi 0.7754 0.6947 0.7576
O 0.0473 0.4607 0.1840
O 0.0473 0.5393 0.6840
O 0.1768 0.2073 0.5129
O 0.1768 0.7927 0.0129
O 0.4185 0.2316 0.9880
O 0.4185 0.7684 0.4880
O 0.5238 0.0736 0.3117
O 0.5238 0.9264 0.8117
O 0.6308 0.3933 0.7948
O 0.6308 0.6067 0.2948
O 0.9300 0.0607 0.6928
O 0.9300 0.9393 0.1928

## Properties
Total energy, eV per atom: -6.303
Formation energy, meV/atom: -2116